# 1
Below is a geometry-optimized Li7Mn4CoO12 structure, with properties calculated at the GGA+U level.

Output
DFT formation energy, eV/atom: -1.923
E above lowest polymorph, kJ/mol of formula units: 373.8
DFT total energy, eV/atom: -6.09

Unit cell a=6.745 b=6.745 c=11.827 alpha=102.33 beta=102.33 gamma=24.85
Sites, in units of the cell vectors:
1 Li 0.000 0.000 0.000
2 Li 0.001 0.001 0.484
3 Li 0.004 0.004 0.238
4 Li 0.337 0.337 0.322
5 Li 0.338 0.338 0.827
6 Li 0.670 0.670 0.167
7 Li 0.673 0.673 0.654
8 Mn 0.003 0.003 0.742
9 Mn 0.332 0.332 0.570
10 Mn 0.348 0.348 0.081
11 Mn 0.675 0.675 0.912
12 Co 0.649 0.649 0.394
13 O 0.173 0.173 0.289
14 O 0.174 0.174 0.797
15 O 0.182 0.182 0.026
16 O 0.185 0.185 0.529
17 O 0.490 0.490 0.112
18 O 0.493 0.493 0.625
19 O 0.501 0.501 0.852
20 O 0.511 0.511 0.373
21 O 0.832 0.832 0.682
22 O 0.838 0.838 0.185
23 O 0.841 0.841 0.465
24 O 0.842 0.842 0.964

=====

# 2
Below is a geometry-optimized Li2MnCoO4 structure, with properties calculated at the GGA+U level.

Output
DFT formation energy, eV/atom: -1.894
E above lowest polymorph, kJ/mol of formula units: 31.8
DFT total energy, eV/atom: -6.12

Unit cell a=5.815 b=5.815 c=6.052 alpha=119.15 beta=119.15 gamma=88.48
Sites, in units of the cell vectors:
1 Li 0.000 0.000 0.000
2 Li 0.000 0.000 0.500
3 Li 0.000 0.500 0.000
4 Li 0.500 0.000 0.500
5 Mn 0.000 0.500 0.500
6 Mn 0.500 0.000 0.000
7 Co 0.500 0.500 0.000
8 Co 0.500 0.500 0.500
9 O 0.240 0.720 0.487
10 O 0.256 0.277 0.523
11 O 0.277 0.256 0.023
12 O 0.280 0.760 0.013
13 O 0.720 0.240 0.987
14 O 0.723 0.744 0.977
15 O 0.744 0.723 0.477
16 O 0.760 0.280 0.513

=====

# 3
Below is a geometry-optimized Li4MnCo2O7 structure, with properties calculated at the GGA+U level.

Output
DFT formation energy, eV/atom: -1.824
E above lowest polymorph, kJ/mol of formula units: 81.2
DFT total energy, eV/atom: -5.82

Unit cell a=10.665 b=10.665 c=8.417 alpha=101.73 beta=101.73 gamma=15.68
Sites, in units of the cell vectors:
1 Li 0.000 0.000 0.000
2 Li 0.002 0.002 0.493
3 Li 0.140 0.140 0.076
4 Li 0.286 0.286 0.636
5 Li 0.434 0.434 0.198
6 Li 0.569 0.569 0.798
7 Li 0.716 0.716 0.354
8 Li 0.865 0.865 0.930
9 Mn 0.432 0.432 0.725
10 Mn 0.715 0.715 0.853
11 Co 0.140 0.140 0.557
12 Co 0.289 0.289 0.143
13 Co 0.569 0.569 0.257
14 Co 0.860 0.860 0.429
15 O 0.005 0.005 0.253
16 O 0.142 0.142 0.325
17 O 0.152 0.152 0.825
18 O 0.278 0.278 0.880
19 O 0.292 0.292 0.396
20 O 0.425 0.425 0.477
21 O 0.429 0.429 0.942
22 O 0.575 0.575 0.046
23 O 0.579 0.579 0.537
24 O 0.711 0.711 0.620
25 O 0.724 0.724 0.091
26 O 0.853 0.853 0.180
27 O 0.866 0.866 0.680
28 O 0.994 0.994 0.744

=====

# 4
Below is a geometry-optimized Li4MnCo2O7 structure, with properties calculated at the GGA+U level.

Output
DFT formation energy, eV/atom: -1.826
E above lowest polymorph, kJ/mol of formula units: 77.8
DFT total energy, eV/atom: -5.82

Unit cell a=3.022 b=5.115 c=17.102 alpha=85.44 beta=88.40 gamma=75.56
Sites, in units of the cell vectors:
1 Li 0.000 0.000 0.000
2 Li 0.004 0.999 0.498
3 Li 0.148 0.718 0.788
4 Li 0.286 0.422 0.072
5 Li 0.428 0.144 0.356
6 Li 0.571 0.856 0.642
7 Li 0.713 0.578 0.927
8 Li 0.850 0.283 0.213
9 Mn 0.276 0.430 0.570
10 Mn 0.861 0.285 0.717
11 Co 0.141 0.716 0.282
12 Co 0.441 0.137 0.864
13 Co 0.569 0.863 0.136
14 Co 0.708 0.572 0.425
15 O 0.085 0.841 0.387
16 O 0.091 0.884 0.891
17 O 0.188 0.561 0.676
18 O 0.238 0.592 0.180
19 O 0.329 0.306 0.464
20 O 0.356 0.283 0.954
21 O 0.519 0.020 0.758
22 O 0.521 0.976 0.243
23 O 0.609 0.702 0.530
24 O 0.644 0.718 0.047
25 O 0.771 0.409 0.821
26 O 0.773 0.444 0.322
27 O 0.917 0.116 0.110
28 O 0.955 0.155 0.611

=====

# 5
Below is a geometry-optimized Li4MnCo2O7 structure, with properties calculated at the GGA+U level.

Output
DFT formation energy, eV/atom: -1.746
E above lowest polymorph, kJ/mol of formula units: 185.7
DFT total energy, eV/atom: -5.74

Unit cell a=2.984 b=2.984 c=34.266 alpha=93.29 beta=93.29 gamma=57.54
Sites, in units of the cell vectors:
1 Li 0.000 0.000 0.000
2 Li 0.004 0.004 0.502
3 Li 0.144 0.144 0.214
4 Li 0.306 0.306 0.936
5 Li 0.434 0.434 0.643
6 Li 0.580 0.580 0.360
7 Li 0.711 0.711 0.072
8 Li 0.858 0.858 0.786
9 Mn 0.578 0.578 0.858
10 Mn 0.861 0.861 0.288
11 Co 0.147 0.147 0.715
12 Co 0.291 0.291 0.431
13 Co 0.433 0.433 0.145
14 Co 0.720 0.720 0.573
15 O 0.078 0.078 0.114
16 O 0.098 0.098 0.605
17 O 0.202 0.202 0.825
18 O 0.243 0.243 0.321
19 O 0.343 0.343 0.541
20 O 0.362 0.362 0.038
21 O 0.480 0.480 0.255
22 O 0.484 0.484 0.748
23 O 0.648 0.648 0.965
24 O 0.667 0.667 0.463
25 O 0.790 0.790 0.178
26 O 0.813 0.813 0.683
27 O 0.915 0.915 0.399
28 O 0.945 0.945 0.889

=====

# 6
Below is a geometry-optimized Li4MnCo2O7 structure, with properties calculated at the GGA+U level.

Output
DFT formation energy, eV/atom: -1.832
E above lowest polymorph, kJ/mol of formula units: 69.8
DFT total energy, eV/atom: -5.82

Unit cell a=2.945 b=7.762 c=11.259 alpha=80.72 beta=83.03 gamma=82.00
Sites, in units of the cell vectors:
1 Li 0.000 0.000 0.000
2 Li 0.053 0.220 0.649
3 Li 0.143 0.429 0.287
4 Li 0.267 0.859 0.580
5 Li 0.438 0.285 0.846
6 Li 0.571 0.715 0.143
7 Li 0.724 0.139 0.434
8 Li 0.872 0.560 0.716
9 Mn 0.505 0.491 0.509
10 Mn 0.783 0.356 0.073
11 Co 0.210 0.645 0.926
12 Co 0.366 0.069 0.216
13 Co 0.642 0.940 0.780
14 Co 0.948 0.785 0.357
15 O 0.019 0.092 0.821
16 O 0.077 0.342 0.470
17 O 0.143 0.538 0.100
18 O 0.277 0.757 0.760
19 O 0.326 0.958 0.387
20 O 0.414 0.178 0.048
21 O 0.462 0.401 0.669
22 O 0.548 0.614 0.333
23 O 0.621 0.821 0.949
24 O 0.683 0.018 0.625
25 O 0.721 0.245 0.246
26 O 0.811 0.466 0.903
27 O 0.936 0.656 0.531
28 O 0.995 0.902 0.185

=====

# 7
Below is a geometry-optimized Li7Mn2Co3O12 structure, with properties calculated at the GGA+U level.

Output
DFT formation energy, eV/atom: -1.905
E above lowest polymorph, kJ/mol of formula units: 65.2
DFT total energy, eV/atom: -5.90

Unit cell a=5.061 b=8.766 c=5.145 alpha=90.00 beta=110.09 gamma=90.00
Sites, in units of the cell vectors:
1 Li 0.000 0.000 0.000
2 Li 0.000 0.156 0.500
3 Li 0.000 0.500 0.500
4 Li 0.000 0.844 0.500
5 Li 0.500 0.000 0.500
6 Li 0.500 0.329 0.500
7 Li 0.500 0.671 0.500
8 Mn 0.000 0.332 0.000
9 Mn 0.000 0.668 0.000
10 Co 0.500 0.160 0.000
11 Co 0.500 0.500 0.000
12 Co 0.500 0.840 0.000
13 O 0.227 0.500 0.230
14 O 0.240 0.184 0.230
15 O 0.240 0.816 0.230
16 O 0.254 0.340 0.787
17 O 0.254 0.660 0.787
18 O 0.278 0.000 0.761
19 O 0.722 0.000 0.239
20 O 0.746 0.340 0.213
21 O 0.746 0.660 0.213
22 O 0.760 0.184 0.770
23 O 0.760 0.816 0.770
24 O 0.773 0.500 0.770

=====

# 8
Below is a geometry-optimized Li7Mn2Co3O12 structure, with properties calculated at the GGA+U level.

Output
DFT formation energy, eV/atom: -1.844
E above lowest polymorph, kJ/mol of formula units: 206.8
DFT total energy, eV/atom: -5.84

Unit cell a=14.777 b=14.777 c=5.141 alpha=99.87 beta=99.87 gamma=11.24
Sites, in units of the cell vectors:
1 Li 0.000 0.000 0.000
2 Li 0.169 0.169 0.815
3 Li 0.324 0.324 0.673
4 Li 0.500 0.500 0.498
5 Li 0.666 0.666 0.324
6 Li 0.747 0.747 0.745
7 Li 0.826 0.826 0.164
8 Mn 0.247 0.247 0.244
9 Mn 0.914 0.914 0.583
10 Co 0.081 0.081 0.411
11 Co 0.414 0.414 0.081
12 Co 0.581 0.581 0.910
13 O 0.042 0.042 0.712
14 O 0.118 0.118 0.104
15 O 0.208 0.208 0.507
16 O 0.288 0.288 0.982
17 O 0.377 0.377 0.407
18 O 0.452 0.452 0.760
19 O 0.542 0.542 0.212
20 O 0.619 0.619 0.606
21 O 0.711 0.711 0.056
22 O 0.784 0.784 0.434
23 O 0.878 0.878 0.866
24 O 0.951 0.951 0.294

=====

# 9
Below is a geometry-optimized Li7Mn4CoO12 structure, with properties calculated at the GGA+U level.

Output
DFT formation energy, eV/atom: -2.040
E above lowest polymorph, kJ/mol of formula units: 102.9
DFT total energy, eV/atom: -6.20

Unit cell a=2.960 b=7.815 c=19.076 alpha=90.81 beta=93.99 gamma=97.23
Sites, in units of the cell vectors:
1 Li 0.091 0.396 0.211
2 Li 0.117 0.118 0.632
3 Li 0.212 0.876 0.043
4 Li 0.250 0.751 0.249
5 Li 0.286 0.627 0.458
6 Li 0.380 0.378 0.870
7 Li 0.408 0.104 0.289
8 Li 0.592 0.896 0.711
9 Li 0.620 0.622 0.130
10 Li 0.714 0.373 0.542
11 Li 0.750 0.249 0.751
12 Li 0.788 0.124 0.957
13 Li 0.883 0.882 0.368
14 Li 0.909 0.604 0.789
15 Mn 0.087 0.250 0.416
16 Mn 0.187 0.007 0.831
17 Mn 0.317 0.490 0.670
18 Mn 0.400 0.250 0.082
19 Mn 0.600 0.750 0.918
20 Mn 0.683 0.510 0.330
21 Mn 0.813 0.993 0.169
22 Mn 0.913 0.750 0.584
23 Co 0.000 0.500 0.000
24 Co 0.500 0.000 0.500
25 O 0.046 0.438 0.098
26 O 0.099 0.183 0.515
27 O 0.115 0.339 0.318
28 O 0.156 0.053 0.737
29 O 0.229 0.934 0.932
30 O 0.247 0.666 0.351
31 O 0.250 0.837 0.148
32 O 0.288 0.568 0.569
33 O 0.345 0.445 0.764
34 O 0.366 0.320 0.984
35 O 0.380 0.166 0.180
36 O 0.462 0.073 0.396
37 O 0.538 0.927 0.604
38 O 0.620 0.834 0.820
39 O 0.634 0.680 0.016
40 O 0.655 0.555 0.236
41 O 0.712 0.432 0.431
42 O 0.750 0.163 0.852
43 O 0.753 0.334 0.649
44 O 0.771 0.066 0.068
45 O 0.844 0.947 0.263
46 O 0.885 0.661 0.682
47 O 0.901 0.817 0.485
48 O 0.954 0.562 0.902

=====

# 10
Below is a geometry-optimized Li4MnCo2O7 structure, with properties calculated at the GGA+U level.

Output
DFT formation energy, eV/atom: -1.838
E above lowest polymorph, kJ/mol of formula units: 61.9
DFT total energy, eV/atom: -5.83

Unit cell a=10.696 b=10.696 c=8.326 alpha=101.68 beta=101.68 gamma=15.65
Sites, in units of the cell vectors:
1 Li 0.000 0.000 0.000
2 Li 0.005 0.005 0.492
3 Li 0.137 0.137 0.065
4 Li 0.278 0.278 0.642
5 Li 0.435 0.435 0.188
6 Li 0.573 0.573 0.799
7 Li 0.706 0.706 0.352
8 Li 0.856 0.856 0.922
9 Mn 0.429 0.429 0.723
10 Mn 0.856 0.856 0.427
11 Co 0.138 0.138 0.563
12 Co 0.285 0.285 0.136
13 Co 0.567 0.567 0.257
14 Co 0.713 0.713 0.850
15 O 0.002 0.002 0.251
16 O 0.137 0.137 0.322
17 O 0.147 0.147 0.819
18 O 0.280 0.280 0.885
19 O 0.294 0.294 0.402
20 O 0.419 0.419 0.469
21 O 0.424 0.424 0.938
22 O 0.571 0.571 0.042
23 O 0.574 0.574 0.536
24 O 0.708 0.708 0.603
25 O 0.722 0.722 0.103
26 O 0.851 0.851 0.192
27 O 0.863 0.863 0.666
28 O 0.988 0.988 0.740

=====

# 11
Below is a geometry-optimized Li3MnCoO5 structure, with properties calculated at the GGA+U level.

Output
DFT formation energy, eV/atom: -1.911
E above lowest polymorph, kJ/mol of formula units: 46.9
DFT total energy, eV/atom: -5.91

Unit cell a=7.841 b=7.841 c=8.322 alpha=104.93 beta=104.93 gamma=21.44
Sites, in units of the cell vectors:
1 Li 0.000 0.000 0.000
2 Li 0.000 0.000 0.491
3 Li 0.199 0.199 0.592
4 Li 0.413 0.413 0.212
5 Li 0.601 0.601 0.777
6 Li 0.807 0.807 0.397
7 Mn 0.201 0.201 0.096
8 Mn 0.405 0.405 0.686
9 Co 0.597 0.597 0.318
10 Co 0.804 0.804 0.894
11 O 0.008 0.008 0.242
12 O 0.197 0.197 0.318
13 O 0.211 0.211 0.860
14 O 0.395 0.395 0.930
15 O 0.401 0.401 0.467
16 O 0.608 0.608 0.536
17 O 0.617 0.617 0.045
18 O 0.791 0.791 0.134
19 O 0.814 0.814 0.656
20 O 0.990 0.990 0.743

=====

# 12
Below is a geometry-optimized Li7Mn4CoO12 structure, with properties calculated at the GGA+U level.

Output
DFT formation energy, eV/atom: -2.039
E above lowest polymorph, kJ/mol of formula units: 105.4
DFT total energy, eV/atom: -6.20

Unit cell a=2.874 b=29.248 c=5.209 alpha=87.19 beta=90.00 gamma=90.00
Sites, in units of the cell vectors:
1 O 0.000 0.209 0.626
2 O 0.000 0.038 0.302
3 O 0.000 0.788 0.340
4 O 0.000 0.288 0.340
5 O 0.000 0.129 0.031
6 O 0.500 0.296 0.818
7 O 0.500 0.629 0.486
8 O 0.500 0.537 0.847
9 O 0.500 0.870 0.515
10 O 0.000 0.957 0.707
11 O 0.000 0.538 0.302
12 O 0.000 0.709 0.626
13 O 0.500 0.464 0.164
14 O 0.500 0.964 0.164
15 O 0.000 0.879 0.993
16 O 0.000 0.379 0.993
17 O 0.500 0.129 0.486
18 O 0.500 0.203 0.169
19 O 0.000 0.457 0.707
20 O 0.500 0.703 0.169
21 O 0.000 0.629 0.031
22 O 0.500 0.370 0.516
23 O 0.500 0.037 0.847
24 O 0.500 0.796 0.818
25 Mn 0.500 0.249 0.492
26 Mn 0.000 0.163 0.312
27 Mn 0.500 0.749 0.492
28 Mn 0.500 0.417 0.842
29 Mn 0.000 0.663 0.312
30 Mn 0.500 0.917 0.842
31 Mn 0.000 0.004 0.021
32 Mn 0.000 0.504 0.021
33 Li 0.000 0.749 0.997
34 Li 0.000 0.917 0.336
35 Li 0.000 0.417 0.336
36 Li 0.500 0.083 0.167
37 Li 0.500 0.004 0.494
38 Li 0.000 0.249 0.997
39 Li 0.500 0.833 0.167
40 Li 0.500 0.583 0.167
41 Li 0.500 0.663 0.839
42 Li 0.500 0.504 0.494
43 Li 0.000 0.083 0.667
44 Li 0.500 0.333 0.167
45 Li 0.500 0.163 0.839
46 Li 0.000 0.583 0.667
47 Co 0.000 0.833 0.667
48 Co 0.000 0.333 0.667

=====

Q: What is the DFT formation energy in the eighth record?
A: -1.844 eV/atom